The following is a DFT calculation (PBE) of NaZrInP2SO12 after structural relaxation.

Unit cell a=8.902 b=8.888 c=23.523 alpha=90.13 beta=90.00 gamma=120.05
Sites, in units of the cell vectors:
Na (0.989, 0.994, 0.503)
Na (0.005, 0.994, 0.003)
Na (0.656, 0.327, 0.836)
Na (0.672, 0.327, 0.336)
Na (0.322, 0.661, 0.169)
Na (0.338, 0.661, 0.669)
Zr (0.001, 0.003, 0.353)
Zr (0.002, 0.003, 0.853)
Zr (0.667, 0.336, 0.686)
Zr (0.668, 0.336, 0.186)
Zr (0.334, 0.669, 0.020)
Zr (0.335, 0.669, 0.520)
In (0.992, 0.006, 0.649)
In (0.014, 0.006, 0.149)
In (0.659, 0.339, 0.982)
In (0.681, 0.339, 0.482)
In (0.325, 0.672, 0.316)
In (0.347, 0.672, 0.816)
P (0.293, 0.999, 0.250)
P (0.003, 0.293, 0.249)
P (0.290, 0.293, 0.749)
P (0.707, 0.999, 0.750)
P (0.959, 0.333, 0.583)
P (0.670, 0.626, 0.583)
P (0.956, 0.626, 0.083)
P (0.373, 0.333, 0.083)
P (0.626, 0.666, 0.917)
P (0.336, 0.960, 0.916)
P (0.623, 0.960, 0.416)
P (0.040, 0.666, 0.417)
S (0.707, 0.710, 0.250)
S (0.003, 0.710, 0.750)
S (0.374, 0.044, 0.583)
S (0.670, 0.044, 0.083)
S (0.040, 0.377, 0.916)
S (0.337, 0.377, 0.416)
O (0.204, 0.025, 0.303)
O (0.816, 0.790, 0.301)
O (0.974, 0.177, 0.303)
O (0.203, 0.177, 0.803)
O (0.975, 0.790, 0.801)
O (0.822, 0.025, 0.803)
O (0.783, 0.967, 0.696)
O (0.185, 0.210, 0.696)
O (0.029, 0.812, 0.698)
O (0.783, 0.812, 0.198)
O (0.025, 0.210, 0.196)
O (0.184, 0.967, 0.196)
O (0.870, 0.359, 0.637)
O (0.482, 0.124, 0.634)
O (0.640, 0.511, 0.636)
O (0.870, 0.511, 0.136)
O (0.641, 0.124, 0.134)
O (0.488, 0.359, 0.137)
O (0.449, 0.300, 0.030)
O (0.852, 0.544, 0.029)
O (0.696, 0.145, 0.031)
O (0.450, 0.145, 0.531)
O (0.692, 0.544, 0.529)
O (0.851, 0.300, 0.530)
O (0.537, 0.692, 0.970)
O (0.149, 0.457, 0.968)
O (0.307, 0.844, 0.970)
O (0.537, 0.844, 0.470)
O (0.308, 0.457, 0.468)
O (0.155, 0.692, 0.470)
O (0.116, 0.633, 0.363)
O (0.519, 0.877, 0.362)
O (0.362, 0.479, 0.365)
O (0.116, 0.479, 0.865)
O (0.358, 0.877, 0.862)
O (0.517, 0.633, 0.863)
O (0.027, 0.834, 0.410)
O (0.806, 0.977, 0.410)
O (0.176, 0.202, 0.411)
O (0.026, 0.202, 0.911)
O (0.170, 0.977, 0.910)
O (0.807, 0.834, 0.910)
O (0.986, 0.175, 0.588)
O (0.199, 0.019, 0.590)
O (0.832, 0.807, 0.590)
O (0.975, 0.807, 0.090)
O (0.820, 0.019, 0.090)
O (0.189, 0.175, 0.088)
O (0.693, 0.167, 0.743)
O (0.473, 0.310, 0.743)
O (0.843, 0.536, 0.744)
O (0.693, 0.536, 0.244)
O (0.837, 0.310, 0.243)
O (0.474, 0.167, 0.243)
O (0.652, 0.508, 0.922)
O (0.866, 0.352, 0.923)
O (0.499, 0.140, 0.923)
O (0.641, 0.140, 0.423)
O (0.487, 0.352, 0.423)
O (0.856, 0.508, 0.422)
O (0.360, 0.500, 0.077)
O (0.140, 0.643, 0.077)
O (0.509, 0.869, 0.078)
O (0.360, 0.869, 0.578)
O (0.504, 0.643, 0.577)
O (0.140, 0.500, 0.577)
O (0.319, 0.842, 0.255)
O (0.532, 0.686, 0.257)
O (0.165, 0.473, 0.257)
O (0.308, 0.473, 0.757)
O (0.154, 0.686, 0.757)
O (0.523, 0.842, 0.755)

As for the volume: 14.91 Å³/atom. The energy comes out at -7.02 eV per atom. The formation energy comes out at -2.646 eV/atom.